one.
! GGA+U LiNiBO3, optimized geometry; values from VASP
&SYSTEM
  ibrav = 0, nat = 24, ntyp = 4
/
ATOMIC_SPECIES
Ni 58.69 Ni.upf
O 16.00 O.upf
B 10.81 B.upf
Li 6.94 Li.upf
CELL_PARAMETERS angstrom
-0.2042 0.0000 3.0934
8.9615 0.0000 0.2877
0.0000 9.4191 0.0000
ATOMIC_POSITIONS crystal
Ni 0.2481 0.7809 0.0606
Ni 0.7481 0.2809 0.4394
Ni 0.7519 0.2192 0.9395
Ni 0.2519 0.7192 0.5605
O 0.7501 0.8083 0.9199
O 0.2366 0.1778 0.3324
O 0.2501 0.3083 0.5801
O 0.2500 0.1917 0.0802
O 0.2358 0.5492 0.7014
O 0.2635 0.3222 0.8324
O 0.7366 0.6778 0.1676
O 0.7500 0.6917 0.4198
O 0.7358 0.0492 0.7986
O 0.2642 0.9508 0.2014
O 0.7635 0.8222 0.6676
O 0.7642 0.4508 0.2986
B 0.2505 0.3973 0.7026
B 0.7505 0.8973 0.7974
B 0.2494 0.1026 0.2026
B 0.7494 0.6026 0.2974
Li 0.7539 0.8681 0.2908
Li 0.2539 0.3681 0.2092
Li 0.2461 0.1319 0.7092
Li 0.7461 0.6319 0.7908
! Volume (A^3/atom): 10.90
! Space group: No. 14


two.
! GGA+U LiNiBO3, optimized geometry; values from VASP
&SYSTEM
  ibrav = 0, nat = 24, ntyp = 4
/
ATOMIC_SPECIES
Ni 58.69 Ni.upf
B 10.81 B.upf
Li 6.94 Li.upf
O 16.00 O.upf
CELL_PARAMETERS angstrom
3.0265 2.1736 3.5574
-7.1905 4.5123 2.4892
-0.9381 -1.7345 5.6430
ATOMIC_POSITIONS crystal
Ni 0.4469 0.2104 0.7502
Ni 0.5528 0.7898 0.2493
Ni 0.0532 0.2896 0.2498
Ni 0.9472 0.7102 0.7507
B 0.0586 0.9668 0.2548
B 0.5587 0.4668 0.2550
B 0.4414 0.5332 0.7452
B 0.9413 0.0332 0.7450
Li 0.9938 0.3837 0.6838
Li 0.0060 0.6164 0.3169
Li 0.5062 0.1163 0.3162
Li 0.4940 0.8836 0.6831
O 0.6414 0.3252 0.3368
O 0.1411 0.8252 0.3370
O 0.2253 0.0306 0.7071
O 0.2747 0.4694 0.2929
O 0.7748 0.9694 0.2924
O 0.2370 0.3900 0.8477
O 0.7252 0.5306 0.7076
O 0.3589 0.6748 0.6630
O 0.7369 0.8900 0.8473
O 0.7631 0.6100 0.1527
O 0.2630 0.1100 0.1523
O 0.8587 0.1748 0.6632
! Volume (A^3/atom): 9.69


Relative energies, eV/atom: one 0.035; two 0.000.


one.
! GGA+U Sr4LaMn5O13, optimized geometry; values from VASP
&SYSTEM
  ibrav = 0, nat = 46, ntyp = 4
/
ATOMIC_SPECIES
Mn 54.94 Mn.upf
O 16.00 O.upf
La 138.91 La.upf
Sr 87.62 Sr.upf
CELL_PARAMETERS angstrom
0.0001 -7.6874 0.0000
8.9429 -3.8438 -0.0098
0.0330 3.8437 8.8596
ATOMIC_POSITIONS crystal
Mn 0.0967 0.6062 0.7996
Mn 0.7948 0.8048 0.3945
Mn 0.5983 0.6049 0.8016
Mn 0.9032 0.3938 0.2004
Mn 0.4018 0.3951 0.1984
Mn 0.0000 0.0000 0.0000
Mn 0.2929 0.8054 0.3912
Mn 0.2052 0.1952 0.6055
Mn 0.7071 0.1946 0.6087
Mn 0.5002 0.9997 0.0001
O 0.0349 0.8411 0.4115
O 0.4647 0.1589 0.5885
O 0.7569 0.4969 0.0107
O 0.5563 0.8047 0.9173
O 0.8418 0.6014 0.7902
O 0.1421 0.9151 0.1994
O 0.6363 0.4139 0.6865
O 0.8680 0.5859 0.3219
O 0.0548 0.8046 0.9143
O 0.1581 0.3986 0.2097
O 0.9650 0.1590 0.5885
O 0.9400 0.7194 0.5993
O 0.6421 0.9168 0.2011
O 0.3637 0.5862 0.3135
O 0.5669 0.2776 0.4113
O 0.0599 0.2807 0.4007
O 0.8578 0.0849 0.8006
O 0.2431 0.5030 0.9892
O 0.1320 0.4142 0.6781
O 0.5354 0.8412 0.4116
O 0.4330 0.7225 0.5887
O 0.3580 0.0831 0.7990
O 0.9452 0.1954 0.0857
O 0.4438 0.1952 0.0828
O 0.3471 0.6014 0.7903
O 0.6529 0.3986 0.2096
La 0.7504 0.4998 0.5000
La 0.2496 0.5002 0.5000
Sr 0.8405 0.1154 0.2986
Sr 0.9616 0.6794 0.1021
Sr 0.4610 0.6794 0.1021
Sr 0.3428 0.1154 0.2987
Sr 0.5390 0.3205 0.8979
Sr 0.1595 0.8846 0.7014
Sr 0.6572 0.8846 0.7014
Sr 0.0384 0.3205 0.8979
! Volume (A^3/atom): 13.24
! Space group: No. 12


two.
! GGA+U Sr4LaMn5O13, optimized geometry; values from VASP
&SYSTEM
  ibrav = 0, nat = 46, ntyp = 4
/
ATOMIC_SPECIES
O 16.00 O.upf
Mn 54.94 Mn.upf
Sr 87.62 Sr.upf
La 138.91 La.upf
CELL_PARAMETERS angstrom
0.0000 0.0000 7.8813
8.7861 0.0000 0.0000
0.0000 8.7861 0.0000
ATOMIC_POSITIONS crystal
O 0.5000 0.6763 0.4174
O 0.5000 0.0663 0.2271
O 0.0000 0.2271 0.9337
O 0.2491 0.4167 0.8135
O 0.2500 0.0000 0.0000
O 0.7500 0.0000 0.0000
O 0.0000 0.2686 0.6079
O 0.5000 0.2188 0.9252
O 0.7509 0.4167 0.8135
O 0.0000 0.7729 0.0663
O 0.0000 0.5826 0.6763
O 0.5000 0.7812 0.0748
O 0.5000 0.6079 0.7314
O 0.7491 0.8135 0.5833
O 0.0000 0.9252 0.7812
O 0.2491 0.5833 0.1865
O 0.0000 0.4174 0.3237
O 0.7509 0.5833 0.1865
O 0.5000 0.3921 0.2686
O 0.0000 0.0748 0.2188
O 0.0000 0.7314 0.3921
O 0.5000 0.3237 0.5826
O 0.2509 0.8135 0.5833
O 0.5000 0.9337 0.7729
O 0.2509 0.1865 0.4167
O 0.7491 0.1865 0.4167
Mn 0.0000 0.8049 0.5963
Mn 0.0000 0.0000 0.0000
Mn 0.5000 0.5963 0.1951
Mn 0.0000 0.3973 0.7988
Mn 0.0000 0.6027 0.2012
Mn 0.5000 0.7988 0.6027
Mn 0.5000 0.4037 0.8049
Mn 0.0000 0.1951 0.4037
Mn 0.5000 0.0000 0.0000
Mn 0.5000 0.2012 0.3973
Sr 0.7513 0.8880 0.2788
Sr 0.2513 0.2788 0.1120
Sr 0.2513 0.7212 0.8880
Sr 0.2487 0.1120 0.7212
Sr 0.7487 0.2788 0.1120
Sr 0.7487 0.7212 0.8880
Sr 0.2487 0.8880 0.2788
Sr 0.7513 0.1120 0.7212
La 0.7500 0.5000 0.5000
La 0.2500 0.5000 0.5000
! Volume (A^3/atom): 13.23
! Space group: No. 84


Relative energies, eV/atom: one 0.023; two 0.000.


one.
! GGA+U PbWO4, optimized geometry; values from VASP
&SYSTEM
  ibrav = 0, nat = 24, ntyp = 3
/
ATOMIC_SPECIES
O 16.00 O.upf
Pb 207.20 Pb.upf
W 183.84 W.upf
CELL_PARAMETERS angstrom
5.1080 0.0000 0.0000
0.0000 5.6869 0.0000
0.0000 4.6451 13.1575
ATOMIC_POSITIONS crystal
O 0.9499 0.7287 0.9776
O 0.1138 0.5295 0.8159
O 0.8862 0.4705 0.1841
O 0.6138 0.4705 0.6841
O 0.9392 0.3893 0.4411
O 0.0608 0.6107 0.5589
O 0.3816 0.9074 0.8481
O 0.5608 0.3893 0.9411
O 0.3862 0.5295 0.3159
O 0.4392 0.6107 0.0589
O 0.0501 0.2713 0.0224
O 0.6184 0.0926 0.1519
O 0.1184 0.9074 0.3481
O 0.5501 0.7287 0.4776
O 0.8816 0.0926 0.6519
O 0.4499 0.2713 0.5224
Pb 0.2069 0.8265 0.1543
Pb 0.7069 0.1735 0.3457
Pb 0.7931 0.1735 0.8457
Pb 0.2931 0.8265 0.6543
W 0.2499 0.6060 0.9250
W 0.2501 0.6060 0.4250
W 0.7499 0.3940 0.5750
W 0.7501 0.3940 0.0750
! Volume (A^3/atom): 15.93
! Space group: No. 14


two.
! GGA+U PbWO4, optimized geometry; values from VASP
&SYSTEM
  ibrav = 0, nat = 12, ntyp = 3
/
ATOMIC_SPECIES
W 183.84 W.upf
O 16.00 O.upf
Pb 207.20 Pb.upf
CELL_PARAMETERS angstrom
-0.6954 5.4562 0.7982
-5.3738 -0.5097 -1.4449
1.5102 -3.5396 6.1775
ATOMIC_POSITIONS crystal
W 0.8792 0.6171 0.7474
W 0.1237 0.3765 0.2484
O 0.2678 0.4267 0.0751
O 0.7180 0.5782 0.9135
O 0.6615 0.7617 0.5742
O 0.9327 0.2957 0.5911
O 0.0813 0.6951 0.4173
O 0.1958 0.8429 0.9095
O 0.3393 0.2138 0.4065
O 0.7973 0.1681 0.0929
Pb 0.3692 0.1265 0.7538
Pb 0.6278 0.8763 0.2490
! Volume (A^3/atom): 15.90
! Space group: No. 1
! Maximum piezoelectric response (C/m2): 0.87


Relative energies, eV/atom: one 0.000; two 0.054.


one.
! GGA+U FeSi2O6, optimized geometry; values from VASP
&SYSTEM
  ibrav = 0, nat = 36, ntyp = 3
/
ATOMIC_SPECIES
Fe 55.84 Fe.upf
Si 28.09 Si.upf
O 16.00 O.upf
CELL_PARAMETERS angstrom
-2.9613 -3.0564 -3.2051
5.2281 -0.8698 0.5421
-2.6967 -13.4621 13.7490
ATOMIC_POSITIONS crystal
Fe 0.1632 0.3297 0.4999
Fe 0.6703 0.8368 0.0001
Fe 0.8368 0.6703 0.5001
Fe 0.3297 0.1632 0.9999
Si 0.4472 0.2886 0.6448
Si 0.5999 0.1070 0.1447
Si 0.2886 0.4472 0.1448
Si 0.4001 0.8930 0.8553
Si 0.7114 0.5528 0.8552
Si 0.1070 0.5999 0.6447
Si 0.5528 0.7114 0.3552
Si 0.8930 0.4001 0.3553
O 0.4120 0.8913 0.9404
O 0.9359 0.2724 0.1653
O 0.4271 0.2595 0.1767
O 0.2351 0.5642 0.3238
O 0.2724 0.9359 0.6653
O 0.3654 0.4932 0.0597
O 0.0641 0.7276 0.8347
O 0.9787 0.8762 0.0508
O 0.5068 0.6346 0.4403
O 0.7276 0.0641 0.3347
O 0.8913 0.4120 0.4404
O 0.0213 0.1238 0.9492
O 0.2595 0.4271 0.6767
O 0.5880 0.1087 0.0596
O 0.5729 0.7405 0.8233
O 0.4932 0.3654 0.5597
O 0.7405 0.5729 0.3233
O 0.4358 0.7649 0.1762
O 0.7649 0.4358 0.6762
O 0.1238 0.0213 0.4492
O 0.8762 0.9787 0.5508
O 0.5642 0.2351 0.8238
O 0.6346 0.5068 0.9403
O 0.1087 0.5880 0.5596
! Volume (A^3/atom): 13.09
! Space group: No. 15


two.
! GGA+U FeSi2O6, optimized geometry; values from VASP
&SYSTEM
  ibrav = 0, nat = 72, ntyp = 3
/
ATOMIC_SPECIES
O 16.00 O.upf
Fe 55.84 Fe.upf
Si 28.09 Si.upf
CELL_PARAMETERS angstrom
5.1129 0.0000 0.0000
0.0000 10.7615 0.0000
0.0000 0.0000 18.8324
ATOMIC_POSITIONS crystal
O 0.1943 0.4564 0.3219
O 0.8708 0.6383 0.8071
O 0.7326 0.3577 0.5570
O 0.6711 0.7802 0.7028
O 0.8057 0.5436 0.6781
O 0.7326 0.8577 0.9430
O 0.3302 0.0459 0.9270
O 0.1711 0.2198 0.7972
O 0.1698 0.0459 0.4270
O 0.9653 0.7168 0.5473
O 0.8289 0.2802 0.2972
O 0.3289 0.7198 0.2028
O 0.5347 0.7168 0.0473
O 0.0347 0.2832 0.4527
O 0.6943 0.0436 0.3219
O 0.2326 0.6423 0.9430
O 0.7674 0.3577 0.0570
O 0.3302 0.5459 0.5730
O 0.3057 0.9564 0.6781
O 0.2674 0.6423 0.4430
O 0.3057 0.4564 0.8219
O 0.1943 0.9564 0.1781
O 0.8302 0.9541 0.5730
O 0.4653 0.7832 0.5473
O 0.6711 0.2802 0.7972
O 0.2326 0.1423 0.5570
O 0.1711 0.7198 0.7028
O 0.1292 0.3617 0.1929
O 0.7674 0.8577 0.4430
O 0.6943 0.5436 0.1781
O 0.8057 0.0436 0.8219
O 0.1292 0.8617 0.3071
O 0.4653 0.2832 0.9527
O 0.3708 0.8617 0.8071
O 0.0347 0.7832 0.0473
O 0.2674 0.1423 0.0570
O 0.6698 0.9541 0.0730
O 0.6698 0.4541 0.4270
O 0.3289 0.2198 0.2972
O 0.1698 0.5459 0.0730
O 0.8708 0.1383 0.6929
O 0.5347 0.2168 0.4527
O 0.6292 0.6383 0.3071
O 0.9653 0.2168 0.9527
O 0.8289 0.7802 0.2028
O 0.6292 0.1383 0.1929
O 0.8302 0.4541 0.9270
O 0.3708 0.3617 0.6929
Fe 0.9373 0.9514 0.3744
Fe 0.0627 0.5486 0.8744
Fe 0.5627 0.4514 0.6256
Fe 0.5627 0.9514 0.8744
Fe 0.9373 0.4514 0.1256
Fe 0.0627 0.0486 0.6256
Fe 0.4373 0.5486 0.3744
Fe 0.4373 0.0486 0.1256
Si 0.2623 0.1698 0.9724
Si 0.8774 0.1682 0.7778
Si 0.2377 0.1698 0.4724
Si 0.6226 0.6682 0.2222
Si 0.7377 0.8302 0.0276
Si 0.1226 0.3318 0.2778
Si 0.3774 0.3318 0.7778
Si 0.8774 0.6682 0.7222
Si 0.3774 0.8318 0.7222
Si 0.7377 0.3302 0.4724
Si 0.2623 0.6698 0.5276
Si 0.2377 0.6698 0.0276
Si 0.6226 0.1682 0.2778
Si 0.1226 0.8318 0.2222
Si 0.7623 0.8302 0.5276
Si 0.7623 0.3302 0.9724
! Volume (A^3/atom): 14.39
! Space group: No. 61


Relative energies, eV/atom: one 0.000; two 0.093.